w) The following is a DFT calculation (PBE) of an optimized crystal structure of MgAl6O10.

abc: 5.695 5.695 23.534
angles: 83.06 83.06 60.35
Element x y z (fractional)
O  0.710  0.710  0.839
Al  0.083  0.083  0.271
O  0.345  0.345  0.519
Al  0.345  0.345  0.951
Al  0.969  0.478  0.076
O  0.632  0.632  0.112
O  0.561  0.005  0.427
Al  0.474  0.474  0.576
O  0.201  0.738  0.323
Mg  0.799  0.799  0.603
Al  0.272  0.776  0.676
O  0.604  0.604  0.628
O  0.525  0.525  0.424
Al  0.677  0.172  0.474
O  0.037  0.037  0.920
Al  0.478  0.969  0.076
Al  0.272  0.272  0.677
Al  0.776  0.272  0.676
O  0.323  0.323  0.033
O  0.817  0.337  0.027
Al  0.875  0.875  0.375
Al  0.007  0.007  0.995
Al  0.480  0.480  0.076
Al  0.688  0.688  0.969
Al  0.949  0.949  0.152
O  0.120  0.120  0.632
O  0.603  0.163  0.628
O  0.943  0.392  0.721
O  0.337  0.817  0.027
O  0.219  0.219  0.826
O  0.607  0.135  0.124
Al  0.083  0.564  0.271
Al  0.274  0.274  0.180
O  0.012  0.504  0.931
O  0.821  0.821  0.025
O  0.738  0.201  0.323
Al  0.065  0.065  0.777
O  0.828  0.828  0.518
Mg  0.149  0.149  0.550
O  0.408  0.408  0.228
O  0.135  0.607  0.124
O  0.163  0.603  0.628
O  0.738  0.738  0.323
O  0.744  0.241  0.821
O  0.005  0.561  0.427
Al  0.564  0.083  0.271
O  0.407  0.958  0.228
O  0.228  0.228  0.319
O  0.346  0.789  0.520
Al  0.677  0.677  0.474
Al  0.374  0.875  0.875
O  0.529  0.529  0.929
O  0.923  0.923  0.230
Mg  0.201  0.201  0.401
O  0.425  0.425  0.722
Mg  0.743  0.743  0.758
O  0.241  0.744  0.821
O  0.504  0.012  0.931
Al  0.172  0.677  0.474
Al  0.875  0.374  0.875
O  0.939  0.939  0.722
O  0.135  0.135  0.124
O  0.392  0.943  0.721
O  0.006  0.006  0.427
O  0.958  0.407  0.228
Al  0.552  0.552  0.344
Al  0.406  0.406  0.802
O  0.789  0.346  0.520

Magnetization: 0.00 μB/f.u.


x) The following is a DFT calculation (PBE) of an optimized crystal structure of MgAl6O10.

abc: 5.707 5.707 23.364
angles: 82.67 82.67 60.22
Element x y z (fractional)
O  0.949  0.949  0.145
O  0.343  0.871  0.449
Al  0.703  0.194  0.907
O  0.145  0.646  0.059
O  0.672  0.116  0.543
Al  0.599  0.100  0.702
O  0.089  0.527  0.856
O  0.046  0.046  0.864
Al  0.217  0.217  0.391
Al  0.403  0.902  0.296
Mg  0.126  0.126  0.625
Al  0.267  0.267  0.174
O  0.062  0.062  0.348
Al  0.001  0.505  0.497
O  0.646  0.145  0.059
O  0.267  0.267  0.748
O  0.527  0.527  0.856
O  0.717  0.267  0.748
O  0.671  0.671  0.544
Al  0.674  0.674  0.973
Al  0.292  0.803  0.096
Al  0.801  0.801  0.600
O  0.646  0.646  0.055
Al  0.599  0.599  0.702
O  0.743  0.743  0.249
Al  0.902  0.403  0.296
O  0.265  0.764  0.247
Mg  0.072  0.072  0.780
Al  0.802  0.802  0.097
O  0.850  0.850  0.947
Al  0.803  0.292  0.096
Al  0.194  0.194  0.907
O  0.537  0.037  0.350
O  0.146  0.146  0.059
O  0.350  0.850  0.947
O  0.853  0.853  0.450
O  0.448  0.448  0.658
O  0.116  0.672  0.543
Mg  0.475  0.475  0.574
O  0.764  0.265  0.247
Al  0.323  0.323  0.030
Al  0.931  0.931  0.224
O  0.566  0.566  0.343
O  0.871  0.343  0.449
O  0.456  0.456  0.150
Al  0.398  0.398  0.805
Al  0.535  0.535  0.418
Al  0.100  0.599  0.702
O  0.918  0.463  0.148
Al  0.002  0.002  0.497
O  0.932  0.932  0.651
Al  0.505  0.001  0.497
O  0.752  0.752  0.744
O  0.346  0.346  0.448
O  0.527  0.089  0.856
Mg  0.723  0.723  0.832
O  0.157  0.157  0.537
Al  0.584  0.584  0.202
O  0.932  0.486  0.651
Al  0.875  0.875  0.369
O  0.237  0.237  0.251
O  0.850  0.350  0.947
O  0.348  0.348  0.952
O  0.463  0.918  0.148
O  0.037  0.537  0.350
O  0.486  0.932  0.651
Al  0.194  0.703  0.907
O  0.267  0.717  0.748

Magnetization: 0.00 μB/f.u.


Q: What are the energies relative to the best structure? A: w) 24; x) 0, in meV/atom.


w) The following is a DFT calculation (PBE) of an optimized crystal structure of Mg7Si4.

abc: 5.173 6.206 14.415
angles: 83.91 80.07 78.51
Element x y z (fractional)
Mg  0.827  0.791  0.545
Si  0.371  0.433  0.277
Mg  0.870  0.681  0.004
Si  0.096  0.132  0.752
Si  0.700  0.367  0.129
Si  0.245  0.958  0.598
Si  0.376  0.015  0.276
Mg  0.797  0.197  0.942
Mg  0.310  0.422  0.853
Si  0.782  0.481  0.724
Mg  0.250  0.249  0.080
Mg  0.368  0.908  0.903
Mg  0.904  0.317  0.524
Mg  0.477  0.169  0.442
Si  0.740  0.967  0.140
Mg  0.897  0.314  0.296
Mg  0.625  0.072  0.702
Mg  0.311  0.515  0.638
Mg  0.420  0.673  0.426
Si  0.906  0.779  0.815
Mg  0.295  0.751  0.125
Mg  0.931  0.810  0.316

Magnetization: 0.00 μB/f.u.


x) The following is a DFT calculation (PBE) of an optimized crystal structure of Mg7Si4.

abc: 5.436 6.202 13.310
angles: 85.90 80.05 87.74
Element x y z (fractional)
Si  0.168  0.916  0.383
Mg  0.262  0.612  0.539
Si  0.484  0.975  0.223
Mg  0.517  0.314  0.081
Mg  0.737  0.399  0.599
Si  0.551  0.153  0.885
Mg  0.030  0.557  0.005
Si  0.921  0.680  0.729
Mg  0.562  0.302  0.350
Mg  0.276  0.119  0.567
Si  0.027  0.290  0.415
Mg  0.164  0.580  0.244
Mg  0.771  0.916  0.568
Mg  0.485  0.818  0.030
Si  0.623  0.533  0.879
Mg  0.694  0.773  0.377
Si  0.899  0.065  0.748
Si  0.695  0.624  0.190
Mg  0.016  0.067  0.955
Mg  0.370  0.848  0.772
Mg  0.253  0.368  0.766
Mg  0.995  0.083  0.188

Magnetization: 0.00 μB/f.u.


Q: What are the energies relative to the best structure? A: w) 44; x) 0, in meV/atom.


w) The following is a DFT calculation (PBE) of an optimized crystal structure of MgTe2Mo2W2Se4S2.

abc: 3.336 3.336 45.826
angles: 89.93 90.00 120.00
Element x y z (fractional)
W  0.667  0.334  0.290
Mo  0.333  0.666  0.086
Mg  0.000  0.000  0.184
Te  0.333  0.666  0.699
W  0.333  0.666  0.470
Se  0.667  0.334  0.050
Se  0.666  0.332  0.123
S  0.666  0.332  0.503
Te  0.334  0.668  0.616
Se  0.334  0.668  0.253
S  0.667  0.334  0.436
Mo  0.667  0.334  0.658
Se  0.333  0.666  0.327

Magnetization: 0.00 μB/f.u.


x) The following is a DFT calculation (PBE) of an optimized crystal structure of MgTe2Mo2W2Se4S2.

abc: 3.334 3.334 38.141
angles: 90.00 90.00 120.00
Element x y z (fractional)
Mo  0.667  0.333  0.282
S  0.667  0.333  0.430
W  0.667  0.333  0.658
Se  0.333  0.667  0.614
Se  0.333  0.667  0.238
S  0.667  0.333  0.510
W  0.333  0.667  0.470
Te  0.667  0.333  0.044
Se  0.333  0.667  0.326
Se  0.333  0.667  0.702
Te  0.667  0.333  0.144
Mg  0.631  0.337  0.866
Mo  0.333  0.667  0.094

Magnetization: 0.00 μB/f.u.


y) The following is a DFT calculation (PBE) of an optimized crystal structure of MgTe2Mo2W2Se4S2.

abc: 3.343 3.343 45.732
angles: 90.01 89.98 120.00
Element x y z (fractional)
Mo  0.333  0.667  0.094
Se  0.334  0.667  0.621
Se  0.667  0.333  0.442
W  0.667  0.333  0.658
W  0.333  0.667  0.479
Mg  0.000  0.000  0.362
Se  0.667  0.333  0.516
Mo  0.666  0.333  0.275
Te  0.667  0.333  0.052
Te  0.666  0.333  0.135
S  0.333  0.667  0.242
S  0.333  0.667  0.309
Se  0.333  0.667  0.695

Magnetization: 0.00 μB/f.u.


Q: What are the energies relative to the best structure? A: w) 0; x) 19; y) 12, in meV/atom.


w) The following is a DFT calculation (PBE) of an optimized crystal structure of MgTe2Mo2W2Se4S2.

abc: 3.335 3.335 45.765
angles: 90.01 90.00 120.00
Element x y z (fractional)
S  0.667  0.333  0.495
Se  0.333  0.667  0.319
Te  0.667  0.333  0.135
Se  0.333  0.666  0.246
W  0.667  0.333  0.665
S  0.667  0.333  0.429
Te  0.667  0.333  0.052
Mg  0.000  0.000  0.560
Mo  0.667  0.333  0.282
Mo  0.333  0.667  0.094
W  0.333  0.667  0.462
Se  0.333  0.667  0.628
Se  0.333  0.667  0.702

Magnetization: 0.01 μB/f.u.


x) The following is a DFT calculation (PBE) of an optimized crystal structure of MgTe2Mo2W2Se4S2.

abc: 3.332 3.333 38.096
angles: 90.00 90.00 120.00
Element x y z (fractional)
Mo  0.667  0.333  0.658
Mg  0.647  0.220  0.882
W  0.667  0.333  0.282
S  0.667  0.333  0.510
Se  0.333  0.667  0.238
Se  0.667  0.333  0.138
W  0.333  0.667  0.470
Te  0.333  0.667  0.608
Mo  0.333  0.667  0.094
Se  0.667  0.333  0.050
S  0.667  0.333  0.430
Te  0.333  0.667  0.707
Se  0.333  0.667  0.326

Magnetization: 0.00 μB/f.u.


y) The following is a DFT calculation (PBE) of an optimized crystal structure of MgTe2Mo2W2Se4S2.

abc: 3.343 3.343 45.099
angles: 90.03 89.99 120.00
Element x y z (fractional)
Te  0.667  0.334  0.135
Se  0.333  0.666  0.245
S  0.667  0.334  0.499
Se  0.333  0.667  0.702
Se  0.333  0.667  0.320
S  0.667  0.333  0.431
Te  0.667  0.333  0.051
W  0.667  0.333  0.665
Se  0.333  0.667  0.628
W  0.667  0.333  0.282
Mg  0.000  0.999  0.551
Mo  0.333  0.667  0.464
Mo  0.333  0.667  0.093

Magnetization: 0.00 μB/f.u.


Q: What are the energies relative to the best structure? A: w) 0; x) 16; y) 9, in meV/atom.